Entry 1:
{"formula": "CaNiBiO5", "functional": "PBE+U", "state": "relaxed", "spacegroup": "P2_1/c (14)", "e_above_lowest_polymorph_ev_per_atom": 0.000, "lattice": [[10.633, 0.000, 0.000], [0.000, 5.847, 0.000], [0.000, 2.461, 7.949]], "species": ["O", "O", "Bi", "Bi", "Ni", "O", "O", "O", "Bi", "Bi", "O", "Ni", "O", "O", "O", "O", "Ni", "Ca", "O", "O", "O", "O", "O", "O", "O", "O", "O", "Ca", "Ni", "O", "Ca", "Ca"], "fractional_positions": [[0.457, 0.779, 0.491], [0.933, 0.814, 0.666], [0.400, 0.993, 0.657], [0.600, 0.007, 0.343], [0.369, 0.144, 0.045], [0.957, 0.221, 0.009], [0.714, 0.705, 0.483], [0.216, 0.855, 0.665], [0.900, 0.007, 0.843], [0.100, 0.993, 0.157], [0.025, 0.259, 0.677], [0.869, 0.856, 0.455], [0.214, 0.295, 0.017], [0.567, 0.814, 0.166], [0.433, 0.186, 0.834], [0.716, 0.145, 0.835], [0.631, 0.856, 0.955], [0.906, 0.459, 0.193], [0.475, 0.259, 0.177], [0.284, 0.855, 0.165], [0.543, 0.221, 0.509], [0.525, 0.741, 0.823], [0.043, 0.779, 0.991], [0.786, 0.705, 0.983], [0.067, 0.186, 0.334], [0.784, 0.145, 0.335], [0.975, 0.741, 0.323], [0.594, 0.459, 0.693], [0.131, 0.144, 0.545], [0.286, 0.295, 0.517], [0.406, 0.541, 0.307], [0.094, 0.541, 0.807]]}

=====

Entry 2:
{"formula": "Na3Ni2P2C2O14", "functional": "PBE+U", "state": "relaxed", "spacegroup": "P1 (1)", "e_above_lowest_polymorph_ev_per_atom": 0.016, "lattice": [[-2.819, -0.961, 7.718], [-2.668, -6.856, -3.809], [7.766, -4.031, 2.148]], "species": ["O", "Na", "Na", "C", "O", "O", "Ni", "O", "O", "O", "O", "O", "P", "O", "O", "O", "O", "C", "Ni", "O", "Na", "O", "O", "Ni", "O", "O", "O", "P", "O", "C", "P", "O", "Na", "O", "O", "O", "O", "O", "P", "C", "O", "Na", "O", "Ni", "O", "Na"], "fractional_positions": [[0.195, 0.954, 0.572], [0.381, 0.368, 0.247], [0.377, 0.866, 0.753], [0.479, 0.234, 0.921], [0.090, 0.334, 0.538], [0.915, 0.656, 0.462], [0.017, 0.764, 0.647], [0.697, 0.442, 0.580], [0.585, 0.826, 0.537], [0.151, 0.090, 0.325], [0.666, 0.098, 0.675], [0.893, 0.639, 0.821], [0.765, 0.509, 0.430], [0.613, 0.854, 0.177], [0.425, 0.169, 0.462], [0.461, 0.214, 0.057], [0.303, 0.555, 0.421], [0.016, 0.273, 0.082], [0.487, 0.730, 0.347], [0.630, 0.561, 0.332], [0.109, 0.659, 0.256], [0.384, 0.142, 0.819], [0.802, 0.055, 0.427], [0.522, 0.266, 0.654], [0.369, 0.432, 0.670], [0.402, 0.651, 0.140], [0.183, 0.621, 0.667], [0.235, 0.485, 0.572], [0.595, 0.345, 0.864], [0.987, 0.735, 0.918], [0.272, 0.023, 0.426], [0.819, 0.377, 0.330], [0.631, 0.129, 0.237], [0.039, 0.292, 0.947], [0.969, 0.717, 0.054], [0.100, 0.849, 0.861], [0.530, 0.779, 0.942], [0.863, 0.921, 0.671], [0.732, 0.978, 0.572], [0.516, 0.762, 0.079], [0.106, 0.370, 0.183], [0.619, 0.619, 0.760], [0.328, 0.891, 0.329], [0.984, 0.230, 0.351], [0.905, 0.156, 0.136], [0.092, 0.141, 0.748]]}

=====

Entry 3:
{"formula": "Al2CoP3NO14", "functional": "PBE+U", "state": "relaxed", "spacegroup": "C2/c (15)", "e_tot_ry_per_atom": -0.48202, "lattice": [[5.179, 6.527, 0.000], [-5.179, 6.527, 0.000], [0.000, 3.002, 8.415]], "species": ["P", "O", "O", "O", "Co", "O", "Al", "O", "O", "P", "P", "O", "O", "Al", "O", "O", "O", "O", "O", "O", "N", "O", "N", "O", "O", "Al", "O", "P", "O", "O", "Al", "O", "O", "O", "Co", "P", "O", "O", "O", "P", "O", "O"], "fractional_positions": [[0.660, 0.919, 0.168], [0.305, 0.894, 0.538], [0.362, 0.211, 0.673], [0.487, 0.640, 0.110], [0.215, 0.785, 0.750], [0.695, 0.106, 0.462], [0.599, 0.753, 0.925], [0.894, 0.305, 0.038], [0.513, 0.360, 0.890], [0.491, 0.509, 0.750], [0.919, 0.660, 0.668], [0.533, 0.321, 0.197], [0.022, 0.797, 0.669], [0.753, 0.599, 0.425], [0.275, 0.168, 0.972], [0.168, 0.275, 0.472], [0.638, 0.789, 0.327], [0.106, 0.695, 0.962], [0.321, 0.533, 0.697], [0.203, 0.978, 0.831], [0.861, 0.139, 0.750], [0.679, 0.467, 0.303], [0.139, 0.861, 0.250], [0.962, 0.508, 0.341], [0.467, 0.679, 0.803], [0.401, 0.247, 0.075], [0.978, 0.203, 0.331], [0.081, 0.340, 0.332], [0.725, 0.832, 0.028], [0.508, 0.962, 0.841], [0.247, 0.401, 0.575], [0.492, 0.038, 0.159], [0.789, 0.638, 0.827], [0.211, 0.362, 0.173], [0.785, 0.215, 0.250], [0.340, 0.081, 0.832], [0.832, 0.725, 0.528], [0.038, 0.492, 0.659], [0.640, 0.487, 0.610], [0.509, 0.491, 0.250], [0.360, 0.513, 0.390], [0.797, 0.022, 0.169]]}

=====

Entry 4:
{"formula": "Li9Mn2Co5O16", "functional": "PBE+U", "state": "relaxed", "spacegroup": "P1 (1)", "e_above_lowest_polymorph_ev_per_atom": 0.019, "lattice": [[4.979, 0.000, 0.000], [-0.833, 6.492, 0.000], [-0.964, -1.376, 8.731]], "species": ["O", "Li", "Li", "Li", "Li", "O", "Co", "Co", "O", "O", "Li", "Co", "Co", "O", "O", "Li", "O", "O", "O", "Mn", "O", "Mn", "O", "Li", "O", "Li", "O", "Li", "O", "O", "Co", "O"], "fractional_positions": [[0.899, 0.033, 0.202], [0.505, 0.876, 0.121], [0.261, 0.693, 0.824], [0.744, 0.308, 0.185], [0.740, 0.808, 0.689], [0.628, 0.110, 0.675], [0.496, 0.124, 0.877], [0.999, 0.752, 0.241], [0.864, 0.771, 0.461], [0.147, 0.482, 0.292], [0.269, 0.449, 0.070], [0.000, 0.503, 0.495], [0.492, 0.377, 0.627], [0.632, 0.358, 0.416], [0.867, 0.507, 0.719], [0.247, 0.931, 0.556], [0.116, 0.224, 0.553], [0.368, 0.883, 0.345], [0.357, 0.639, 0.597], [0.994, 0.249, 0.755], [0.363, 0.148, 0.072], [0.001, 0.998, 0.002], [0.356, 0.385, 0.840], [0.746, 0.052, 0.423], [0.639, 0.870, 0.906], [0.743, 0.572, 0.946], [0.864, 0.261, 0.955], [0.265, 0.184, 0.301], [0.115, 0.738, 0.028], [0.127, 0.990, 0.794], [0.506, 0.628, 0.370], [0.651, 0.597, 0.164]]}

=====

Entry 5:
{"formula": "Li3FeP2O8", "functional": "PBE+U", "state": "relaxed", "spacegroup": "P2_1/m (11)", "e_above_lowest_polymorph_ev_per_atom": 0.000, "lattice": [[-0.020, 0.000, 4.736], [10.235, 0.000, -0.042], [0.000, 5.938, 0.000]], "species": ["O", "O", "Li", "O", "O", "O", "Li", "O", "O", "P", "O", "O", "O", "O", "O", "O", "Fe", "Li", "Li", "O", "O", "O", "Li", "P", "P", "Fe", "P", "Li"], "fractional_positions": [[0.797, 0.548, 0.750], [0.200, 0.663, 0.039], [0.479, 0.220, 0.750], [0.203, 0.452, 0.250], [0.739, 0.112, 0.250], [0.253, 0.411, 0.750], [0.500, 0.500, 0.500], [0.800, 0.337, 0.539], [0.747, 0.589, 0.250], [0.412, 0.100, 0.250], [0.693, 0.042, 0.750], [0.307, 0.958, 0.250], [0.730, 0.826, 0.953], [0.270, 0.174, 0.047], [0.730, 0.826, 0.547], [0.270, 0.174, 0.453], [0.008, 0.720, 0.750], [0.000, 0.000, 0.500], [0.500, 0.500, 0.000], [0.200, 0.663, 0.461], [0.800, 0.337, 0.961], [0.261, 0.888, 0.750], [0.000, 0.000, 0.000], [0.933, 0.407, 0.750], [0.588, 0.900, 0.750], [0.992, 0.280, 0.250], [0.067, 0.593, 0.250], [0.521, 0.780, 0.250]]}

=====

Entry 6:
{"formula": "Fe3O", "functional": "PBE+U", "state": "relaxed", "spacegroup": "P6_3/mmc (194)", "e_tot_ry_per_atom": -0.36423, "lattice": [[2.555, -4.425, 0.000], [2.555, 4.425, 0.000], [0.000, 0.000, 4.584]], "species": ["Fe", "Fe", "Fe", "O", "Fe", "Fe", "Fe", "O"], "fractional_positions": [[0.675, 0.837, 0.250], [0.837, 0.163, 0.750], [0.325, 0.163, 0.750], [0.333, 0.667, 0.750], [0.837, 0.675, 0.750], [0.163, 0.837, 0.250], [0.163, 0.325, 0.250], [0.667, 0.333, 0.250]]}

=====

Entry 7:
{"formula": "NiPO4", "functional": "PBE+U", "state": "relaxed", "spacegroup": "P2_1/c (14)", "e_tot_ry_per_atom": -0.45357, "lattice": [[10.030, 0.000, 0.000], [0.000, 5.052, 0.000], [0.000, 4.964, 7.154]], "species": ["P", "O", "O", "O", "O", "O", "O", "P", "Ni", "Ni", "O", "Ni", "O", "O", "O", "P", "O", "Ni", "O", "O", "P", "O", "O", "O"], "fractional_positions": [[0.406, 0.897, 0.290], [0.441, 0.052, 0.725], [0.941, 0.948, 0.775], [0.345, 0.174, 0.101], [0.131, 0.573, 0.818], [0.369, 0.573, 0.318], [0.559, 0.948, 0.275], [0.094, 0.897, 0.790], [0.173, 0.169, 0.027], [0.673, 0.831, 0.473], [0.845, 0.826, 0.399], [0.827, 0.831, 0.973], [0.849, 0.115, 0.041], [0.869, 0.427, 0.182], [0.631, 0.427, 0.682], [0.906, 0.103, 0.210], [0.155, 0.174, 0.601], [0.327, 0.169, 0.527], [0.151, 0.885, 0.959], [0.655, 0.826, 0.899], [0.594, 0.103, 0.710], [0.349, 0.885, 0.459], [0.651, 0.115, 0.541], [0.059, 0.052, 0.225]]}

=====

Entry 8:
{"formula": "Li9Mn2Co5O16", "functional": "PBE+U", "state": "relaxed", "spacegroup": "Cm (8)", "e_above_lowest_polymorph_ev_per_atom": 0.052, "lattice": [[1.449, 9.752, 0.000], [-1.449, 9.752, 0.000], [0.000, 0.956, 10.171]], "species": ["O", "O", "Li", "O", "O", "O", "Li", "O", "O", "Li", "O", "O", "Co", "O", "Li", "Li", "O", "Co", "O", "Co", "O", "Mn", "Mn", "Li", "Li", "Co", "O", "Li", "O", "O", "Co", "Li"], "fractional_positions": [[0.560, 0.560, 0.410], [0.555, 0.555, 0.922], [0.628, 0.628, 0.562], [0.945, 0.945, 0.847], [0.196, 0.196, 0.472], [0.807, 0.807, 0.040], [0.752, 0.752, 0.874], [0.187, 0.187, 0.978], [0.945, 0.945, 0.337], [0.127, 0.127, 0.319], [0.693, 0.693, 0.218], [0.309, 0.309, 0.767], [0.751, 0.751, 0.370], [0.443, 0.443, 0.587], [0.367, 0.367, 0.931], [0.133, 0.133, 0.818], [0.806, 0.806, 0.539], [0.499, 0.499, 0.253], [0.049, 0.049, 0.157], [0.245, 0.245, 0.106], [0.061, 0.061, 0.661], [0.997, 0.997, 0.999], [0.252, 0.252, 0.632], [0.375, 0.375, 0.440], [0.867, 0.867, 0.189], [0.501, 0.501, 0.743], [0.309, 0.309, 0.290], [0.630, 0.630, 0.061], [0.442, 0.442, 0.079], [0.695, 0.695, 0.708], [0.003, 0.003, 0.502], [0.872, 0.872, 0.689]]}

=====

Entry 9:
{"formula": "Li4Ti3Fe3Cu2O16", "functional": "PBE+U", "state": "relaxed", "spacegroup": "P1 (1)", "e_tot_ry_per_atom": -0.49180, "lattice": [[5.937, 0.023, -0.044], [-2.948, 5.111, 0.001], [-0.070, -0.038, 9.614]], "species": ["Fe", "Li", "Fe", "O", "Fe", "Li", "O", "O", "O", "O", "O", "O", "Ti", "O", "Li", "O", "O", "O", "Cu", "O", "Cu", "O", "Ti", "O", "Ti", "Li", "O", "O"], "fractional_positions": [[0.833, 0.663, 0.711], [0.665, 0.333, 0.397], [0.831, 0.168, 0.712], [0.005, 0.003, 0.310], [0.663, 0.833, 0.212], [0.335, 0.666, 0.896], [0.516, 0.474, 0.841], [0.005, 0.001, 0.809], [0.171, 0.840, 0.603], [0.170, 0.332, 0.603], [0.037, 0.520, 0.335], [0.518, 0.041, 0.840], [0.173, 0.338, 0.213], [0.672, 0.836, 0.602], [0.993, 0.998, 0.995], [0.658, 0.330, 0.602], [0.473, 0.958, 0.340], [0.322, 0.660, 0.102], [0.334, 0.669, 0.487], [0.960, 0.479, 0.838], [0.674, 0.336, 0.985], [0.473, 0.516, 0.340], [0.342, 0.174, 0.714], [0.841, 0.672, 0.103], [0.168, 0.829, 0.211], [0.998, 0.998, 0.496], [0.840, 0.169, 0.103], [0.327, 0.163, 0.106]]}

=====

Entry 10:
{"formula": "V2Te2O9", "functional": "PBE+U", "state": "relaxed", "spacegroup": "Fdd2 (43)", "e_above_lowest_polymorph_ev_per_atom": 0.012, "e_ij_max_c_m2": 2.15, "lattice": [[2.187, -11.429, 9.202], [5.249, -8.007, 11.281], [-3.637, 0.864, 3.380]], "species": ["O", "O", "O", "O", "V", "Te", "O", "O", "Te", "O", "V", "V", "O", "O", "O", "Te", "O", "O", "O", "V", "O", "Te", "O", "O", "O", "O"], "fractional_positions": [[0.328, 0.672, 0.328], [0.743, 0.353, 0.936], [0.803, 0.481, 0.945], [0.480, 0.305, 0.769], [0.661, 0.656, 0.240], [0.115, 0.981, 0.378], [0.945, 0.770, 0.803], [0.276, 0.835, 0.704], [0.378, 0.526, 0.115], [0.936, 0.967, 0.743], [0.594, 0.589, 0.808], [0.240, 0.442, 0.661], [0.141, 0.667, 0.347], [0.897, 0.507, 0.283], [0.415, 0.974, 0.065], [0.724, 0.872, 0.269], [0.283, 0.314, 0.897], [0.347, 0.845, 0.141], [0.578, 0.922, 0.578], [0.808, 0.010, 0.594], [0.583, 0.109, 0.405], [0.269, 0.135, 0.724], [0.704, 0.185, 0.276], [0.405, 0.903, 0.583], [0.065, 0.546, 0.415], [0.769, 0.447, 0.480]]}

=====

What did the tenth record say?
{"formula": "V2Te2O9", "functional": "PBE+U", "state": "relaxed", "spacegroup": "Fdd2 (43)", "e_above_lowest_polymorph_ev_per_atom": 0.012, "e_ij_max_c_m2": 2.15, "lattice": [[2.187, -11.429, 9.202], [5.249, -8.007, 11.281], [-3.637, 0.864, 3.380]], "species": ["O", "O", "O", "O", "V", "Te", "O", "O", "Te", "O", "V", "V", "O", "O", "O", "Te", "O", "O", "O", "V", "O", "Te", "O", "O", "O", "O"], "fractional_positions": [[0.328, 0.672, 0.328], [0.743, 0.353, 0.936], [0.803, 0.481, 0.945], [0.480, 0.305, 0.769], [0.661, 0.656, 0.240], [0.115, 0.981, 0.378], [0.945, 0.770, 0.803], [0.276, 0.835, 0.704], [0.378, 0.526, 0.115], [0.936, 0.967, 0.743], [0.594, 0.589, 0.808], [0.240, 0.442, 0.661], [0.141, 0.667, 0.347], [0.897, 0.507, 0.283], [0.415, 0.974, 0.065], [0.724, 0.872, 0.269], [0.283, 0.314, 0.897], [0.347, 0.845, 0.141], [0.578, 0.922, 0.578], [0.808, 0.010, 0.594], [0.583, 0.109, 0.405], [0.269, 0.135, 0.724], [0.704, 0.185, 0.276], [0.405, 0.903, 0.583], [0.065, 0.546, 0.415], [0.769, 0.447, 0.480]]}